DFT (PBE-GGA) results for a relaxed structure of LiTa2O6.

```
LiTa2O6
1.0
2.646 1.528 4.671
-2.646 1.528 4.671
0.000 -3.056 4.671
Li Ta O
1 2 6
Cartesian
0.000 0.000 0.000 Li
0.000 0.000 3.126 Ta
0.000 0.000 9.997 Ta
-2.293 0.031 6.474 O
-0.627 -1.525 8.842 O
1.120 -2.001 6.474 O
-1.007 1.305 8.842 O
1.173 1.970 6.474 O
1.634 0.220 8.842 O
```

Symmetry: R3, No. 146

---

DFT (PBE-GGA) results for a relaxed structure of K4U5B2O21.

```
K4U5B2O21
1.0
7.091 0.000 0.000
0.000 11.953 0.000
-0.024 0.000 13.462
K U B O
8 10 4 42
Cartesian
0.000 1.075 0.000 K
7.078 3.105 6.088 K
7.066 8.848 12.819 K
-0.012 10.878 6.731 K
0.031 4.879 2.240 K
0.019 7.074 8.971 K
0.024 2.831 9.558 K
0.036 9.122 2.827 K
3.510 1.528 11.154 U
3.515 4.813 8.337 U
3.527 7.140 1.606 U
3.522 10.425 4.423 U
3.563 2.990 1.108 U
3.551 8.963 7.839 U
3.584 1.161 7.342 U
3.590 4.448 4.524 U
3.578 7.505 11.255 U
3.596 10.792 0.611 U
3.352 4.822 12.011 B
3.364 7.131 5.280 B
3.749 1.152 3.667 B
3.737 10.801 10.398 B
0.106 1.289 3.710 O
0.094 10.664 10.441 O
1.654 4.789 8.302 O
1.666 7.164 1.571 O
1.660 1.385 11.150 O
1.672 10.568 4.419 O
1.717 2.846 1.317 O
1.705 9.107 8.048 O
1.732 1.166 7.305 O
1.744 10.788 0.574 O
1.748 4.316 4.481 O
1.736 7.637 11.212 O
3.200 3.505 12.347 O
3.212 8.448 5.616 O
3.420 5.184 10.691 O
3.432 6.769 3.960 O
3.435 5.823 12.963 O
3.447 6.130 6.232 O
3.489 2.622 9.148 O
3.501 9.331 2.417 O
3.530 4.872 2.215 O
3.518 7.081 8.946 O
3.571 1.105 13.462 O
3.583 10.848 6.731 O
3.609 3.361 6.537 O
3.597 8.593 13.268 O
3.664 0.149 2.716 O
3.652 11.804 9.448 O
3.680 0.791 4.987 O
3.668 11.162 11.718 O
3.896 2.471 3.327 O
3.884 9.482 10.058 O
5.353 1.676 11.198 O
5.365 10.278 4.467 O
5.371 4.813 8.382 O
5.383 7.140 1.651 O
5.408 3.139 0.896 O
5.396 8.814 7.627 O
5.437 4.598 4.528 O
5.424 7.355 11.259 O
5.442 1.191 7.384 O
5.454 10.762 0.653 O
```

Symmetry: Pc, No. 7

---

DFT (PBE-GGA) results for a relaxed structure of Zr2BIr6.

```
Zr2BIr6
1.0
4.113 0.000 0.000
0.000 4.113 0.000
0.000 0.000 8.016
Zr B Ir
2 1 6
Cartesian
0.000 0.000 1.911 Zr
0.000 0.000 6.105 Zr
2.057 2.057 4.008 B
0.000 2.057 0.000 Ir
0.000 2.057 4.008 Ir
2.057 0.000 0.000 Ir
2.057 0.000 4.008 Ir
2.057 2.057 1.913 Ir
2.057 2.057 6.103 Ir
```

Polymorph energy (0 for the lowest one) in meV/atom: 87
Symmetry: P4/mmm, No. 123

---

DFT (PBE-GGA) results for a relaxed structure of PrN.

```
PrN
1.0
3.161 0.000 0.000
0.000 3.161 0.000
0.000 0.000 3.161
Pr N
1 1
Cartesian
0.000 0.000 0.000 Pr
1.580 1.580 1.580 N
```

Symmetry: Pm-3m, No. 221

---

Total energy for every record listed, in sequence, given in eV per atom: -8.638 -8.242 -9.260 -7.082.